1.
Density functional theory data (GGA+U) for Na2MgMo2O6 after structural relaxation.

Summary:
Space-group type: No. 1
Formation energy (eV/atom): -1.992
Magnetization (Bohr magnetons per cell): 4.00
Density (kg/m³): 4278

Lattice parameters (Å, degrees): 6.0040 5.5285 6.6081 55.34 55.31 55.97
Closest atoms and distances in Å follow each position.
Element x y z (fractional)
Mo 0.5816 0.4774 0.5286  4 O 1.91-2.11
Mo 0.0126 0.9826 0.9975  5 O 1.93-2.15
Na 0.2300 0.2685 0.0935  4 O 2.25-2.37
Na 0.7505 0.7138 0.8519  5 O 2.40-2.65
Mg 0.4119 0.1619 0.4247  5 O 1.99-2.14
O 0.2310 0.5985 0.2036  1 Mo 1.93, 1 Mg 2.00
O 0.6336 0.8678 0.2167  2 Mo 1.99-2.12, 1 Mg 2.08
O 0.8003 0.2283 0.2497  1 Mg 2.08, 2 Mo 2.11-2.26, 1 Na 2.26
O 0.2191 0.8061 0.7006  2 Mo 2.10-2.11, 1 Mg 2.14
O 0.3604 0.1828 0.7405  1 Mg 1.99, 2 Mo 2.02-2.21
O 0.7784 0.3528 0.7383  1 Mo 1.91

***

2.
Density functional theory data (GGA+U) for Sr16Fe6Co2Mo8O45 after structural relaxation.

Summary:
Space-group type: No. 1
Formation energy (eV/atom): -2.428
Magnetization (Bohr magnetons per cell): 12.02
Density (kg/m³): 5302

Lattice parameters (Å, degrees): 5.7120 5.7000 45.6262 120.10 120.31 89.68
Closest atoms and distances in Å follow each position.
Element x y z (fractional)
Fe 0.0063 0.0070 0.0016  5 O 2.00-2.17
Fe 0.9995 0.9992 0.3748  6 O 2.06-2.22
Fe 0.0075 0.0059 0.5014  5 O 1.99-2.09
Fe 0.9960 0.9965 0.6240  6 O 2.04-2.22
Fe 0.9970 0.9969 0.1243  6 O 2.05-2.22
Fe 0.0077 0.0085 0.2523  5 O 2.00-2.14
O 0.6704 0.7290 0.6179  1 Mo 1.89
O 0.7979 0.2905 0.2529  1 Fe 2.00, 1 Mo 2.06
O 0.2896 0.2243 0.0023  1 Fe 2.02, 1 Mo 2.06
O 0.2934 0.2186 0.8740  1 Mo 1.96, 1 Co 2.13
O 0.7127 0.2562 0.3641  1 Mo 1.90
O 0.2943 0.2196 0.7488  1 Mo 1.95, 1 Co 2.15
O 0.2646 0.2621 0.4407  1 Mo 1.97, 1 Fe 2.12
O 0.7367 0.7348 0.9339  1 Mo 1.89
O 0.2024 0.6986 0.6209  1 Mo 2.02, 1 Fe 2.05
O 0.7673 0.2711 0.6217  1 Mo 2.03, 1 Fe 2.04
O 0.2937 0.2259 0.2532  1 Fe 2.03, 1 Mo 2.06
O 0.2539 0.2589 0.6890  1 Mo 1.97, 1 Fe 2.09
O 0.2947 0.2239 0.5037  1 Fe 1.99, 1 Mo 2.09
O 0.6965 0.7715 0.7489  1 Mo 1.95, 1 Co 2.14
O 0.2536 0.2535 0.8133  1 Co 1.97, 1 Mo 1.99
O 0.7413 0.7414 0.8104  1 Mo 1.93, 1 Co 2.11
O 0.2218 0.7296 0.5020  1 Fe 1.99, 1 Mo 2.06
O 0.2790 0.2116 0.1233  1 Mo 2.03, 1 Fe 2.06
O 0.2020 0.6586 0.3645  1 Mo 1.90
O 0.6991 0.7739 0.8741  1 Mo 1.96, 1 Co 2.13
O 0.2189 0.6977 0.7490  1 Mo 1.95, 1 Co 2.13
O 0.7183 0.2622 0.1151  1 Mo 1.89
O 0.2666 0.2633 0.1915  1 Mo 1.95, 1 Fe 2.16
O 0.7085 0.7787 0.3745  1 Mo 2.01, 1 Fe 2.08
O 0.7737 0.2930 0.8740  1 Mo 1.96, 1 Co 2.11
O 0.2029 0.6594 0.1149  1 Mo 1.89
O 0.7966 0.2881 0.5024  1 Fe 2.00, 1 Mo 2.06
O 0.7964 0.2904 0.0026  1 Fe 2.00, 1 Mo 2.06
O 0.2234 0.7290 0.0022  1 Fe 2.01, 1 Mo 2.05
O 0.7290 0.7974 0.2528  1 Fe 2.02, 1 Mo 2.06
O 0.7436 0.7425 0.1858  1 Mo 1.89
O 0.2223 0.7288 0.2522  1 Fe 2.01, 1 Mo 2.05
O 0.7497 0.7510 0.6875  1 Mo 1.90, 1 Co 2.07
O 0.2730 0.2108 0.6177  1 Mo 1.90
O 0.7272 0.7939 0.0019  1 Fe 2.02, 1 Mo 2.06
O 0.7102 0.7778 0.1239  1 Mo 2.03, 1 Fe 2.05
O 0.7715 0.2943 0.7488  1 Mo 1.95, 1 Co 2.12
O 0.2868 0.2160 0.3742  1 Mo 2.01, 1 Fe 2.08
O 0.2613 0.2598 0.9402  1 Mo 1.97, 1 Co 2.06
O 0.2176 0.6980 0.8738  1 Mo 1.96, 1 Co 2.11
O 0.7435 0.7439 0.3109  1 Mo 1.89, 1 Fe 2.06
O 0.7395 0.7377 0.5599  1 Mo 1.86, 1 Fe 2.06
O 0.7475 0.7429 0.4363  1 Mo 1.89, 1 Fe 2.09
O 0.7392 0.7400 0.0597  1 Mo 1.87, 1 Fe 2.08
O 0.7345 0.8060 0.5039  1 Fe 2.02, 1 Mo 2.08
Mo 0.5111 0.5105 0.3777  5 O 1.89-2.01
Mo 0.5063 0.5068 0.0015  6 O 1.87-2.06
Mo 0.5130 0.5142 0.6285  5 O 1.89-2.03
Mo 0.5003 0.5005 0.8751  6 O 1.89-1.99
Mo 0.5081 0.5080 0.1270  5 O 1.89-2.03
Mo 0.5005 0.5018 0.7503  6 O 1.93-1.97
Mo 0.5086 0.5079 0.5020  5 O 1.86-2.08
Mo 0.5079 0.5081 0.2521  6 O 1.89-2.06
Sr 0.7442 0.2432 0.3109  4 O 2.49-2.55
Sr 0.2569 0.7576 0.8143  8 O 2.57-2.86
Sr 0.2577 0.7579 0.3144  8 O 2.59-2.86
Sr 0.2602 0.7612 0.9401  8 O 2.64-2.87
Sr 0.2408 0.7398 0.5598  5 O 2.55-2.85
Sr 0.7406 0.2395 0.0599  4 O 2.52-2.55
Sr 0.2528 0.7521 0.0630  8 O 2.61-2.86
Sr 0.7552 0.2559 0.8141  8 O 2.58-2.86
Sr 0.2562 0.7583 0.6891  8 O 2.57-2.86
Sr 0.7477 0.2466 0.5620  5 O 2.54-2.85
Sr 0.7614 0.2618 0.1908  8 O 2.65-2.87
Sr 0.7600 0.2603 0.4401  8 O 2.66-2.87
Sr 0.7620 0.2625 0.9405  8 O 2.65-2.87
Sr 0.2636 0.7662 0.1916  6 O 2.63-2.88
Sr 0.7581 0.2601 0.6898  6 O 2.56-2.86
Sr 0.2664 0.7675 0.4419  6 O 2.63-2.88
Co 0.0039 0.0039 0.8760  6 O 2.06-2.13
Co 0.0065 0.0083 0.7519  6 O 1.97-2.15

***

3.
Density functional theory data (GGA+U) for Ti4FeBi6O18 after structural relaxation.

Summary:
Space-group type: No. 42
Formation energy (eV/atom): -2.377
Magnetization (Bohr magnetons per cell): 4.00
Density (kg/m³): 7479

Lattice parameters (Å, degrees): 24.4735 24.4609 4.0448 85.44 85.08 9.48
Closest atoms and distances in Å follow each position.
Element x y z (fractional)
O 0.8051 0.6949 0.8051  2 Bi 2.18
O 0.9183 0.9950 0.0050  1 Ti 1.94, 1 Fe 2.13, 1 Bi 2.15
O 0.3202 0.3609 0.1263  1 Ti 1.90
O 0.5590 0.6051 0.8790  1 Ti 1.83
O 0.0787 0.1647 0.8353  1 Ti 1.95
O 0.1759 0.2291 0.7709  1 Ti 1.79
O 0.8074 0.8737 0.6391  1 Ti 1.90
O 0.0050 0.0817 0.9183  1 Ti 1.94, 1 Fe 2.13, 1 Bi 2.15
O 0.3949 0.4410 0.0431  1 Ti 1.83
O 0.5003 0.4997 0.9429  2 Fe 1.98-2.11
O 0.0431 0.1210 0.3949  1 Ti 1.83
O 0.6391 0.6798 0.8074  1 Ti 1.90
O 0.3051 0.1949 0.3051  2 Bi 2.18
O 0.7709 0.8241 0.1759  1 Ti 1.79
O 0.8353 0.9213 0.0787  1 Ti 1.95
O 0.9429 0.0571 0.5003  2 Fe 1.98-2.11
O 0.8790 0.9569 0.5590  1 Ti 1.83
O 0.1263 0.1926 0.3202  1 Ti 1.90
Bi 0.4550 0.2929 0.7071  3 O 2.20-2.28
Bi 0.8383 0.6103 0.3897  3 O 2.18-2.35
Bi 0.6335 0.4417 0.5583  3 O 2.15-2.33
Bi 0.3897 0.1617 0.8383  3 O 2.18-2.35
Bi 0.5583 0.3665 0.6335  3 O 2.15-2.33
Bi 0.7071 0.5450 0.4550  3 O 2.20-2.28
Ti 0.1824 0.1498 0.8502  3 O 1.79-1.90
Ti 0.9440 0.8909 0.1091  4 O 1.83-1.95
Ti 0.1091 0.0560 0.9440  4 O 1.83-1.95
Ti 0.8502 0.8176 0.1824  3 O 1.79-1.90
Fe 0.0134 0.9866 0.0134  6 O 1.98-2.13

***

4.
Density functional theory data (GGA+U) for LiMn2O4 after structural relaxation.

Summary:
Space-group type: No. 72
Formation energy (eV/atom): -1.772
Magnetization (Bohr magnetons per cell): 13.99
Polymorph energy (0 for the lowest one) (meV/atom): 296.3
Density (kg/m³): 4407

Lattice parameters (Å, degrees): 5.6897 5.6897 5.6897 116.61 116.42 96.15
Closest atoms and distances in Å follow each position.
Element x y z (fractional)
O 0.7582 0.7437 0.9855  1 Li 1.97, 4 Mn 2.06-2.18
O 0.2418 0.2563 0.0145  1 Li 1.97, 4 Mn 2.06-2.18
O 0.2500 0.2876 0.5376  2 Mn 1.91, 2 Li 1.96
O 0.2582 0.7727 0.5145  1 Li 1.97, 4 Mn 2.06-2.18
O 0.2500 0.7124 0.9624  2 Mn 1.91, 2 Li 1.96
O 0.7500 0.2876 0.0376  2 Mn 1.91, 2 Li 1.96
O 0.7418 0.2273 0.4855  1 Li 1.97, 4 Mn 2.06-2.18
O 0.7500 0.7124 0.4624  2 Mn 1.91, 2 Li 1.96
Mn 0.5000 0.5000 0.5000  4 O 1.91-2.06
Mn 0.0000 0.5000 0.0000  4 O 1.91-2.06
Mn 0.5000 0.0000 0.0000  4 O 1.91-2.06
Mn 0.0000 0.0000 0.5000  4 O 1.91-2.06
Li 0.5000 0.5000 0.0000  6 O 1.96-1.97
Li 0.0000 0.5000 0.5000  6 O 1.96-1.97